No. 1
Below is a relaxed structure of CoH8S2O12, with properties calculated at the PBE+U level.

Calculated values
Its formation energy is -1.37 eV per atom. As for the total magnetization: 2.00 Bohr magnetons per cell. As for the density: 2.01 Mg/m³. For the corrected total energy (MP2020 scheme), the calculation gives -5.799 eV per atom.

a = 11.5744 Å, b = 8.2968 Å, c = 5.7054 Å
α = 90.00°, β = 103.17°, γ = 90.00°
Atoms (fractional coordinates):
Co 0.0000 0.0000 0.0000
Co 0.5000 0.5000 0.0000
H 0.0220 0.7155 0.2171
H 0.1513 0.1313 0.7801
H 0.1807 0.9413 0.7932
H 0.1403 0.8098 0.3216
H 0.3597 0.3098 0.6784
H 0.3193 0.4413 0.2068
H 0.3487 0.6313 0.2199
H 0.4780 0.2155 0.7829
H 0.5220 0.7845 0.2171
H 0.6513 0.3687 0.7801
H 0.6807 0.5587 0.7932
H 0.6403 0.6902 0.3216
H 0.8597 0.1902 0.6784
H 0.8193 0.0587 0.2068
H 0.8487 0.8687 0.2199
H 0.9780 0.2845 0.7829
S 0.1333 0.2852 0.3650
S 0.3667 0.7852 0.6350
S 0.6333 0.2148 0.3650
S 0.8667 0.7148 0.6350
O 0.0724 0.1256 0.2860
O 0.0766 0.4165 0.2085
O 0.0747 0.7984 0.1778
O 0.1265 0.3090 0.6193
O 0.1487 0.0306 0.8739
O 0.2395 0.7744 0.6457
O 0.2605 0.2744 0.3543
O 0.3513 0.5306 0.1261
O 0.3735 0.8090 0.3807
O 0.4253 0.2984 0.8222
O 0.4234 0.9165 0.7915
O 0.4276 0.6256 0.7140
O 0.5724 0.3744 0.2860
O 0.5766 0.0835 0.2085
O 0.5747 0.7016 0.1778
O 0.6265 0.1910 0.6193
O 0.6487 0.4694 0.8739
O 0.7395 0.7256 0.6457
O 0.7605 0.2256 0.3543
O 0.8513 0.9694 0.1261
O 0.8735 0.6910 0.3807
O 0.9253 0.2016 0.8222
O 0.9234 0.5835 0.7915
O 0.9276 0.8744 0.7140

=====

No. 2
Below is a relaxed structure of CoH2SO5, with properties calculated at the PBE+U level.

Calculated values
Its formation energy is -1.61 eV per atom. As for the total magnetization: 0.00 Bohr magnetons per cell. As for the density: 3.12 Mg/m³. For the corrected total energy (MP2020 scheme), the calculation gives -6.363 eV per atom.

a = 6.8876 Å, b = 7.5994 Å, c = 7.8137 Å
α = 90.00°, β = 90.00°, γ = 115.90°
Atoms (fractional coordinates):
Co 0.0000 0.5000 0.0000
Co 0.0000 0.0000 0.5000
Co 0.5000 0.5000 0.5000
Co 0.5000 0.0000 0.0000
H 0.6608 0.7941 0.2918
H 0.1619 0.7940 0.7917
H 0.8381 0.7060 0.2917
H 0.3392 0.7059 0.7918
H 0.3392 0.2059 0.7082
H 0.8381 0.2060 0.2083
H 0.1619 0.2940 0.7083
H 0.6608 0.2941 0.2082
S 0.7490 0.7498 0.8405
S 0.2510 0.7502 0.3405
S 0.2510 0.2502 0.1595
S 0.7490 0.2498 0.6595
O 0.7501 0.7505 0.3660
O 0.2499 0.7495 0.8660
O 0.2499 0.2495 0.6340
O 0.7501 0.2505 0.1340
O 0.2295 0.8996 0.4495
O 0.7279 0.8998 0.9497
O 0.2721 0.6002 0.4497
O 0.7706 0.6004 0.9495
O 0.7705 0.1004 0.5505
O 0.2721 0.1002 0.0503
O 0.7279 0.3998 0.5503
O 0.2294 0.3996 0.0505
O 0.5515 0.6568 0.7297
O 0.0539 0.6568 0.2289
O 0.9461 0.8432 0.7289
O 0.4485 0.8432 0.2297
O 0.4485 0.3432 0.2703
O 0.9461 0.3432 0.7711
O 0.0539 0.1568 0.2711
O 0.5515 0.1568 0.7703

=====

No. 3
Below is a relaxed structure of CoH8SO8, with properties calculated at the PBE+U level.

Calculated values
Its formation energy is -1.38 eV per atom. As for the total magnetization: 4.00 Bohr magnetons per cell. As for the density: 2.31 Mg/m³. For the corrected total energy (MP2020 scheme), the calculation gives -5.714 eV per atom.

a = 13.6637 Å, b = 6.0108 Å, c = 9.9137 Å
α = 53.24°, β = 90.00°, γ = 90.00°
Atoms (fractional coordinates):
Co 0.6015 0.1511 0.2809
Co 0.8985 0.1511 0.7809
Co 0.3985 0.8489 0.7191
Co 0.1015 0.8489 0.2191
H 0.5832 0.1099 0.0268
H 0.9168 0.1099 0.5268
H 0.4168 0.8901 0.9732
H 0.0832 0.8901 0.4732
H 0.5173 0.8723 0.1776
H 0.9827 0.8723 0.6776
H 0.4827 0.1277 0.8224
H 0.0173 0.1277 0.3224
H 0.6867 0.4633 0.3504
H 0.8133 0.4633 0.8504
H 0.3133 0.5367 0.6496
H 0.1867 0.5367 0.1496
H 0.5883 0.3614 0.4568
H 0.9117 0.3614 0.9568
H 0.4117 0.6386 0.5432
H 0.0883 0.6386 0.0432
H 0.6849 0.6462 0.0516
H 0.8151 0.6462 0.5516
H 0.3151 0.3538 0.9484
H 0.1849 0.3538 0.4484
H 0.6002 0.6275 0.9465
H 0.8998 0.6275 0.4465
H 0.3998 0.3725 0.0535
H 0.1002 0.3725 0.5535
H 0.7608 0.9757 0.2170
H 0.7392 0.9757 0.7170
H 0.2392 0.0243 0.7830
H 0.2608 0.0243 0.2830
H 0.8047 0.1489 0.2774
H 0.6953 0.1489 0.7774
H 0.1953 0.8511 0.7226
H 0.3047 0.8511 0.2226
S 0.6090 0.6248 0.6788
S 0.8910 0.6248 0.1788
S 0.3910 0.3752 0.3212
S 0.1090 0.3752 0.8212
O 0.5513 0.7498 0.7474
O 0.9487 0.7498 0.2474
O 0.4487 0.2502 0.2526
O 0.0513 0.2502 0.7526
O 0.5732 0.7414 0.5056
O 0.9268 0.7414 0.0056
O 0.4268 0.2586 0.4944
O 0.0732 0.2586 0.9944
O 0.5930 0.3157 0.7887
O 0.9070 0.3157 0.2887
O 0.4070 0.6843 0.2113
O 0.0930 0.6843 0.7113
O 0.7143 0.6827 0.6804
O 0.7857 0.6827 0.1804
O 0.2857 0.3173 0.3196
O 0.2143 0.3173 0.8196
O 0.5776 0.9834 0.1505
O 0.9224 0.9834 0.6505
O 0.4224 0.0166 0.8495
O 0.0776 0.0166 0.3495
O 0.6428 0.3034 0.4198
O 0.8572 0.3034 0.9198
O 0.3572 0.6966 0.5802
O 0.1428 0.6966 0.0802
O 0.6242 0.5497 0.0612
O 0.8758 0.5497 0.5612
O 0.3758 0.4503 0.9388
O 0.1242 0.4503 0.4388
O 0.7478 0.0375 0.2874
O 0.7522 0.0375 0.7874
O 0.2522 0.9625 0.7126
O 0.2478 0.9625 0.2126

=====

No. 4
Below is a relaxed structure of CoH4SO6, with properties calculated at the PBE+U level.

Calculated values
Its formation energy is -1.47 eV per atom. As for the total magnetization: 18.00 Bohr magnetons per cell. As for the density: 2.67 Mg/m³. For the corrected total energy (MP2020 scheme), the calculation gives -6.010 eV per atom.

a = 7.6331 Å, b = 10.0534 Å, c = 10.0389 Å
α = 90.00°, β = 112.34°, γ = 90.00°
Atoms (fractional coordinates):
Co 0.1215 0.0203 0.1671
Co 0.8785 0.5203 0.8329
Co 0.0456 0.5203 0.1671
Co 0.9544 0.0203 0.8329
Co 0.2983 0.3050 0.0000
Co 0.7017 0.8050 0.0000
H 0.5911 0.3533 0.8184
H 0.4089 0.8533 0.1816
H 0.2274 0.8533 0.8184
H 0.7726 0.3533 0.1816
H 0.2941 0.0597 0.0000
H 0.7059 0.5597 0.0000
H 0.2977 0.0203 0.5352
H 0.7023 0.5203 0.4648
H 0.2375 0.5203 0.5352
H 0.7625 0.0203 0.4648
H 0.5194 0.3230 0.5625
H 0.4806 0.8230 0.4375
H 0.0431 0.8230 0.5625
H 0.9569 0.3230 0.4375
H 0.4918 0.4774 0.7166
H 0.5082 0.9774 0.2834
H 0.2249 0.9774 0.7166
H 0.7751 0.4774 0.2834
H 0.4706 0.0478 0.6794
H 0.5294 0.5478 0.3206
H 0.2088 0.5478 0.6794
H 0.7912 0.0478 0.3206
H 0.0336 0.8082 0.0000
H 0.9664 0.3082 0.0000
S 0.3566 0.2927 0.3323
S 0.6434 0.7927 0.6677
S 0.9757 0.7927 0.3323
S 0.0243 0.2927 0.6677
S 0.6865 0.1221 0.0000
S 0.3135 0.6221 0.0000
O 0.4389 0.2983 0.2222
O 0.5611 0.7983 0.7778
O 0.7833 0.7983 0.2222
O 0.2167 0.2983 0.7778
O 0.2582 0.4172 0.3408
O 0.7418 0.9172 0.6592
O 0.0826 0.9172 0.3408
O 0.9174 0.4172 0.6592
O 0.5764 0.9994 0.0000
O 0.4236 0.4994 0.0000
O 0.5741 0.2433 0.0000
O 0.4259 0.7433 0.0000
O 0.6093 0.4183 0.7517
O 0.3907 0.9183 0.2483
O 0.1425 0.9183 0.7517
O 0.8575 0.4183 0.2483
O 0.3332 0.0552 0.6329
O 0.6668 0.5552 0.3671
O 0.2997 0.5552 0.6329
O 0.7003 0.0552 0.3671
O 0.7349 0.1271 0.8688
O 0.2651 0.6271 0.1312
O 0.1339 0.6271 0.8688
O 0.8661 0.1271 0.1312
O 0.0413 0.3869 0.0000
O 0.9587 0.8869 0.0000
O 0.2430 0.1730 0.3221
O 0.7570 0.6730 0.6779
O 0.0791 0.6730 0.3221
O 0.9209 0.1730 0.6779
O 0.1834 0.1096 0.0000
O 0.8166 0.6096 0.0000
O 0.5361 0.2843 0.4769
O 0.4639 0.7843 0.5231
O 0.9408 0.7843 0.4769
O 0.0592 0.2843 0.5231

=====

No. 5
Below is a relaxed structure of CoHSO4, with properties calculated at the PBE+U level.

Calculated values
Its formation energy is -1.17 eV per atom. As for the total magnetization: 0.00 Bohr magnetons per cell. As for the density: 3.34 Mg/m³. For the corrected total energy (MP2020 scheme), the calculation gives -6.085 eV per atom.

a = 5.2058 Å, b = 5.2058 Å, c = 7.1273 Å
α = 111.70°, β = 111.70°, γ = 100.28°
Atoms (fractional coordinates):
Co 0.5000 0.0000 0.0000
Co 0.0000 0.5000 0.5000
H 0.3078 0.6922 0.7500
H 0.6922 0.3078 0.2500
S 0.9175 0.0825 0.7500
S 0.0825 0.9175 0.2500
O 0.7857 0.1642 0.9042
O 0.2143 0.8358 0.0958
O 0.8358 0.2143 0.5958
O 0.1642 0.7857 0.4042
O 0.2499 0.2023 0.8887
O 0.7501 0.7977 0.1113
O 0.7977 0.7501 0.6113
O 0.2023 0.2499 0.3887

=====

No. 6
Below is a relaxed structure of Co3H2Se3O10, with properties calculated at the PBE+U level.

Calculated values
Its formation energy is -1.31 eV per atom. As for the total magnetization: 18.00 Bohr magnetons per cell. As for the density: 3.99 Mg/m³. For the corrected total energy (MP2020 scheme), the calculation gives -6.206 eV per atom.

a = 8.2307 Å, b = 8.3527 Å, c = 8.6799 Å
α = 69.01°, β = 63.10°, γ = 67.56°
Atoms (fractional coordinates):
Co 0.0000 0.0000 0.0000
Co 0.5000 0.5000 0.5000
Co 0.6541 0.0346 0.8010
Co 0.3459 0.9654 0.1990
Co 0.7166 0.8568 0.3912
Co 0.2834 0.1432 0.6088
H 0.0326 0.8736 0.6944
H 0.9674 0.1264 0.3056
H 0.9416 0.8128 0.5994
H 0.0584 0.1872 0.4006
Se 0.5700 0.2331 0.2395
Se 0.4300 0.7669 0.7605
Se 0.7950 0.6691 0.0686
Se 0.2050 0.3309 0.9314
Se 0.1719 0.6744 0.2999
Se 0.8281 0.3256 0.7001
O 0.3057 0.7160 0.3813
O 0.6943 0.2840 0.6187
O 0.5475 0.6950 0.5620
O 0.4525 0.3050 0.4380
O 0.2082 0.8985 0.7555
O 0.7918 0.1015 0.2445
O 0.5328 0.9457 0.6738
O 0.4672 0.0543 0.3262
O 0.9469 0.7323 0.4558
O 0.0531 0.2677 0.5442
O 0.7062 0.5161 0.2508
O 0.2938 0.4839 0.7492
O 0.5971 0.8291 0.0300
O 0.4029 0.1709 0.9700
O 0.8678 0.7851 0.1492
O 0.1322 0.2149 0.8508
O 0.1908 0.8609 0.1220
O 0.8092 0.1391 0.8780
O 0.9134 0.8703 0.6960
O 0.0866 0.1297 0.3040

=====

No. 7
Below is a relaxed structure of CoH2SeO5, with properties calculated at the PBE+U level.

Calculated values
Its formation energy is -1.27 eV per atom. As for the total magnetization: 0.00 Bohr magnetons per cell. As for the density: 3.63 Mg/m³. For the corrected total energy (MP2020 scheme), the calculation gives -5.949 eV per atom.

a = 7.1173 Å, b = 8.1655 Å, c = 7.6987 Å
α = 90.00°, β = 115.86°, γ = 90.00°
Atoms (fractional coordinates):
Co 0.0000 0.5000 0.0000
Co 0.0000 0.0000 0.5000
Co 0.5000 0.0000 0.0000
Co 0.5000 0.5000 0.5000
H 0.3309 0.7010 0.2023
H 0.8309 0.2010 0.2023
H 0.6691 0.2010 0.2977
H 0.1691 0.7010 0.2977
H 0.6691 0.2990 0.7977
H 0.1691 0.7990 0.7977
H 0.3309 0.7990 0.7023
H 0.8309 0.2990 0.7023
Se 0.7500 0.8351 0.7500
Se 0.2500 0.3351 0.7500
Se 0.2500 0.1649 0.2500
Se 0.7500 0.6649 0.2500
O 0.2500 0.8713 0.7500
O 0.7500 0.3713 0.7500
O 0.7500 0.1287 0.2500
O 0.2500 0.6287 0.2500
O 0.7653 0.9523 0.5792
O 0.2653 0.4523 0.5792
O 0.7347 0.9523 0.9208
O 0.2347 0.4523 0.9208
O 0.2347 0.0477 0.4208
O 0.7347 0.5477 0.4208
O 0.2653 0.0477 0.0792
O 0.7653 0.5477 0.0792
O 0.4674 0.2182 0.8501
O 0.9674 0.7182 0.8501
O 0.5326 0.7182 0.6499
O 0.0326 0.2182 0.6499
O 0.5326 0.7818 0.1499
O 0.0326 0.2818 0.1499
O 0.4674 0.2818 0.3501
O 0.9674 0.7818 0.3501

=====

No. 8
Below is a relaxed structure of CoH2SeO4, with properties calculated at the PBE+U level.

Calculated values
Its formation energy is -1.29 eV per atom. As for the total magnetization: 0.00 Bohr magnetons per cell. As for the density: 3.56 Mg/m³. For the corrected total energy (MP2020 scheme), the calculation gives -5.938 eV per atom.

a = 4.8584 Å, b = 13.9092 Å, c = 5.7325 Å
α = 100.72°, β = 89.99°, γ = 90.00°
Atoms (fractional coordinates):
Co 0.3192 0.7335 0.4940
Co 0.6808 0.2665 0.5060
Co 0.8192 0.7665 0.0060
Co 0.1808 0.2335 0.9940
H 0.2671 0.8679 0.1573
H 0.7673 0.6321 0.3427
H 0.2327 0.3679 0.6573
H 0.7329 0.1321 0.8427
H 0.8123 0.1166 0.0997
H 0.3123 0.3834 0.4003
H 0.6878 0.6166 0.5997
H 0.1877 0.8834 0.9003
Se 0.7645 0.3932 0.0619
Se 0.7354 0.8932 0.5620
Se 0.2646 0.1068 0.4380
Se 0.2355 0.6068 0.9381
O 0.1106 0.8822 0.0590
O 0.6107 0.6178 0.4410
O 0.3893 0.3822 0.5590
O 0.8894 0.1178 0.9410
O 0.0885 0.6780 0.1976
O 0.5885 0.8219 0.3024
O 0.4115 0.1781 0.6976
O 0.9115 0.3220 0.8024
O 0.4254 0.3642 0.0578
O 0.0745 0.8642 0.5577
O 0.9255 0.1358 0.4423
O 0.5746 0.6358 0.9422
O 0.9104 0.3222 0.2539
O 0.4105 0.1779 0.2460
O 0.5895 0.8221 0.7540
O 0.0896 0.6778 0.7461